# CsCO2F2 PBE relaxed
# crystal system = orthorhombic
# space-group type = Pnma (62)
# energy relative to the elements = -1.971 eV per atom
data_CsCO2F2
_chemical_formula_sum 'Cs4 C4 O8 F8'
_symmetry_space_group_name_H-M 'P 1'
_symmetry_Int_Tables_number 1
_cell_length_a 5.9096
_cell_length_b 7.9513
_cell_length_c 9.6301
_cell_angle_alpha 90.00
_cell_angle_beta 90.00
_cell_angle_gamma 90.00
loop_
_symmetry_equiv_pos_as_xyz
'x,y,z'
loop_
_atom_site_label
_atom_site_fract_x
_atom_site_fract_y
_atom_site_fract_z
Cs1 0.2500 0.8367 0.6820
Cs2 0.7500 0.3367 0.8180
C1 0.2500 0.2019 0.0650
C2 0.2500 0.2981 0.5650
O1 0.9291 0.7974 0.4206
O2 0.4291 0.2026 0.5794
F1 0.2500 0.3904 0.4348
F2 0.7500 0.9388 0.8360
C3 0.7500 0.7981 0.9350
F3 0.7500 0.8904 0.0652
O3 0.4291 0.2974 0.0794
F4 0.2500 0.4388 0.6640
F5 0.7500 0.6096 0.5652
O4 0.5709 0.7026 0.9206
Cs3 0.2500 0.6633 0.1820
O5 0.0709 0.2974 0.0794
Cs4 0.7500 0.1633 0.3180
C4 0.7500 0.7019 0.4350
O6 0.0709 0.2026 0.5794
O7 0.5709 0.7974 0.4206
O8 0.9291 0.7026 0.9206
F6 0.2500 0.1096 0.9348
F7 0.7500 0.5612 0.3360
F8 0.2500 0.0612 0.1640

***

# CsCSO3F3 PBE relaxed
# crystal system = monoclinic
# space-group type = P2_1 (4)
# energy relative to the elements = -2.012 eV per atom
data_CsCSO3F3
_chemical_formula_sum 'Cs2 C2 S2 O6 F6'
_symmetry_space_group_name_H-M 'P 1'
_symmetry_Int_Tables_number 1
_cell_length_a 6.2426
_cell_length_b 5.5847
_cell_length_c 9.9952
_cell_angle_alpha 75.14
_cell_angle_beta 90.00
_cell_angle_gamma 90.00
loop_
_symmetry_equiv_pos_as_xyz
'x,y,z'
loop_
_atom_site_label
_atom_site_fract_x
_atom_site_fract_y
_atom_site_fract_z
O1 0.7257 0.5480 0.8027
Cs1 0.9896 0.9499 0.1649
C1 0.0532 0.6510 0.6344
F1 0.9528 0.8479 0.5487
Cs2 0.4896 0.0501 0.8351
C2 0.5532 0.3490 0.3656
F2 0.0200 0.4503 0.5839
F3 0.7676 0.3008 0.3720
O2 0.0795 0.3778 0.8887
O3 0.5040 0.1761 0.1465
F4 0.5200 0.5497 0.4161
O4 0.2257 0.4520 0.1973
F5 0.2676 0.6992 0.6280
F6 0.4528 0.1521 0.4513
S1 0.9544 0.5928 0.8165
O5 0.5795 0.6222 0.1113
S2 0.4544 0.4072 0.1835
O6 0.0040 0.8239 0.8535

***

# Cs2Sb2C4O9F4 PBE relaxed
# crystal system = triclinic
# space-group type = P-1 (2)
# energy relative to the elements = -1.846 eV per atom
data_Cs2Sb2C4O9F4
_chemical_formula_sum 'Cs4 Sb4 C8 O18 F8'
_symmetry_space_group_name_H-M 'P 1'
_symmetry_Int_Tables_number 1
_cell_length_a 8.7840
_cell_length_b 8.7055
_cell_length_c 11.5842
_cell_angle_alpha 102.31
_cell_angle_beta 102.49
_cell_angle_gamma 64.88
loop_
_symmetry_equiv_pos_as_xyz
'x,y,z'
loop_
_atom_site_label
_atom_site_fract_x
_atom_site_fract_y
_atom_site_fract_z
Cs1 0.3308 0.8917 0.1223
O1 0.4378 0.2740 0.5003
O2 0.3417 0.3467 0.6781
C1 0.6539 0.6227 0.4221
O3 0.7480 0.0277 0.5787
O4 0.1113 0.6499 0.0101
O5 0.6583 0.6533 0.3219
Cs2 0.9001 0.8992 0.3084
O6 0.2520 0.9723 0.4213
F1 0.0748 0.8531 0.8463
F2 0.9252 0.1469 0.1537
F3 0.8015 0.7280 0.7084
O7 0.8338 0.3241 0.3678
Cs3 0.6692 0.1083 0.8777
O8 0.8194 0.4341 0.8091
Sb1 0.1515 0.5970 0.8062
Cs4 0.0999 0.1008 0.6916
F4 0.6204 0.4082 0.1269
C2 0.2298 0.5622 0.5459
C3 0.7179 0.6515 0.9743
O9 0.1662 0.6759 0.6322
O10 0.5622 0.7260 0.4997
C4 0.1835 0.5362 0.0794
O11 0.8887 0.3501 0.9899
F5 0.3796 0.5918 0.8731
C5 0.8165 0.4638 0.9206
C6 0.7702 0.4378 0.4541
C7 0.2821 0.3485 0.0257
O12 0.2781 0.3135 0.9148
O13 0.1806 0.5659 0.1909
F6 0.1985 0.2720 0.2916
F7 0.5382 0.0852 0.2875
O14 0.7923 0.4114 0.5598
Sb2 0.3903 0.3368 0.3020
O15 0.6378 0.7586 0.8993
Sb3 0.6097 0.6632 0.6980
C8 0.3461 0.3773 0.5779
O16 0.3622 0.2414 0.1007
O17 0.7219 0.6865 0.0852
O18 0.2077 0.5886 0.4402
Sb4 0.8485 0.4030 0.1938
F8 0.4618 0.9148 0.7125

***

# Cs2MgFeC6N6 PBE relaxed
# crystal system = cubic
# space-group type = Fm-3m (225)
# energy relative to the elements = -0.462 eV per atom
data_Cs2MgFeC6N6
_chemical_formula_sum 'Cs2 Mg1 Fe1 C6 N6'
_symmetry_space_group_name_H-M 'P 1'
_symmetry_Int_Tables_number 1
_cell_length_a 7.4069
_cell_length_b 7.4069
_cell_length_c 7.4069
_cell_angle_alpha 60.00
_cell_angle_beta 60.00
_cell_angle_gamma 60.00
loop_
_symmetry_equiv_pos_as_xyz
'x,y,z'
loop_
_atom_site_label
_atom_site_fract_x
_atom_site_fract_y
_atom_site_fract_z
N1 0.7076 0.7076 0.2924
N2 0.7076 0.2924 0.2924
C1 0.8203 0.8203 0.1797
Cs1 0.2500 0.2500 0.2500
N3 0.7076 0.2924 0.7076
N4 0.2924 0.7076 0.2924
C2 0.1797 0.8203 0.8203
Cs2 0.7500 0.7500 0.7500
Mg1 0.5000 0.5000 0.5000
N5 0.2924 0.2924 0.7076
C3 0.8203 0.1797 0.8203
C4 0.1797 0.8203 0.1797
N6 0.2924 0.7076 0.7076
C5 0.1797 0.1797 0.8203
C6 0.8203 0.1797 0.1797
Fe1 0.0000 0.0000 0.0000

***

# Cs2NaFeC6N6 PBE relaxed
# crystal system = monoclinic
# space-group type = P2_1/c (14)
# energy relative to the elements = -0.259 eV per atom
data_Cs2NaFeC6N6
_chemical_formula_sum 'Cs4 Na2 Fe2 C12 N12'
_symmetry_space_group_name_H-M 'P 1'
_symmetry_Int_Tables_number 1
_cell_length_a 7.7805
_cell_length_b 7.6282
_cell_length_c 13.3447
_cell_angle_alpha 55.20
_cell_angle_beta 90.00
_cell_angle_gamma 90.00
loop_
_symmetry_equiv_pos_as_xyz
'x,y,z'
loop_
_atom_site_label
_atom_site_fract_x
_atom_site_fract_y
_atom_site_fract_z
N1 0.2736 0.7033 0.4674
N2 0.6755 0.8117 0.9616
C1 0.4920 0.2137 0.3283
Cs1 0.4584 0.2414 0.7500
C2 0.0080 0.2137 0.8283
C3 0.7992 0.8825 0.9769
Cs2 0.0416 0.2414 0.2500
Na1 0.0000 0.5000 0.5000
N3 0.1755 0.1883 0.5384
N4 0.0145 0.3462 0.7226
N5 0.8245 0.8117 0.4616
N6 0.7736 0.2967 0.0326
C4 0.2008 0.1175 0.0231
Cs3 0.5416 0.7586 0.2500
C5 0.9920 0.7863 0.1717
Cs4 0.9584 0.7586 0.7500
N7 0.5145 0.6538 0.7774
C6 0.6406 0.1836 0.5198
C7 0.2992 0.1175 0.5231
Fe1 0.5000 0.0000 0.5000
C8 0.7008 0.8825 0.4769
Fe2 0.0000 0.0000 0.0000
Na2 0.5000 0.5000 0.0000
N8 0.2264 0.7033 0.9674
N9 0.3245 0.1883 0.0384
C9 0.1406 0.8164 0.9802
C10 0.3594 0.8164 0.4802
N10 0.7264 0.2967 0.5326
C11 0.8594 0.1836 0.0198
N11 0.9855 0.6538 0.2774
N12 0.4855 0.3462 0.2226
C12 0.5080 0.7863 0.6717